20
Lattice="6.5551 0.0000 0.0000 0.0000 6.5513 0.0000 -6.5472 0.0000 9.2804" Properties=species:S:1:pos:R:3 comment="KRb2InF6 (PBE, relaxed)" dft_energy_ev_per_atom=-4.46 spacegroup=P2_1/c formation_enthalpy_0k_ev_per_atom=-3.004 pbc="T T T"
K 0.0000 0.0000 0.0000
K -3.2736 3.2757 4.6402
Rb -3.2602 0.1833 6.9489
Rb 0.0133 3.0924 2.3087
Rb -0.0055 3.4589 6.9716
Rb 3.2681 6.3680 2.3314
In 0.0039 0.0000 4.6402
In 3.2775 3.2757 0.0000
F -0.4292 0.1077 2.5674
F -3.7028 3.1680 7.2076
F 1.5602 4.4736 0.3105
F -1.7134 5.3533 4.9507
F 2.1036 1.5388 0.3295
F -1.1700 1.7369 4.9696
F 1.1779 4.8144 4.3107
F -2.0957 5.0125 8.9509
F 1.7212 1.1980 4.3297
F -1.5523 2.0777 8.9699
F 3.7107 3.3833 2.0728
F 0.4371 6.4437 6.7129